Entry 1:
The following is a DFT calculation (PBE) of a geometry-optimized Be8P8H34N8O33 structure.

```
Be8P8H34N8O33
1.0
5.8193 -7.4993 0.5806
9.8439 7.9099 3.5022
-3.0331 -1.3723 12.6749
Be P H N O
16 16 68 16 66
Direct
0.8668 0.8646 0.5442
0.3668 0.9558 0.6354
0.3668 0.5442 0.8646
0.8668 0.6354 0.9558
0.1297 0.1336 0.4558
0.6297 0.0442 0.3664
0.6297 0.4558 0.1336
0.1297 0.3664 0.0442
0.0739 0.0151 0.8632
0.5739 0.6368 0.4849
0.5739 0.8632 0.0151
0.0739 0.4849 0.6368
0.9245 0.9849 0.1363
0.4245 0.3637 0.5151
0.4245 0.1363 0.9849
0.9245 0.5151 0.3637
0.3760 0.9583 0.8643
0.8760 0.6357 0.5417
0.8760 0.8643 0.9583
0.3760 0.5417 0.6357
0.6225 0.0434 0.1356
0.1225 0.3644 0.4566
0.1225 0.1356 0.0434
0.6225 0.4566 0.3644
0.0625 0.0109 0.6399
0.5625 0.8601 0.4891
0.5625 0.6399 0.0109
0.0625 0.4891 0.8601
0.9338 0.9867 0.3608
0.4338 0.1392 0.5133
0.4338 0.3608 0.9867
0.9338 0.5133 0.1392
0.2124 0.8220 0.9536
0.7124 0.5464 0.6780
0.7124 0.9536 0.8220
0.2124 0.6780 0.5464
0.7904 0.1783 0.0447
0.2904 0.4553 0.3217
0.2904 0.0447 0.1783
0.7904 0.3217 0.4553
0.0339 0.3171 0.7545
0.5339 0.7455 0.1829
0.5339 0.7545 0.3171
0.0339 0.1829 0.7455
0.9871 0.6789 0.2459
0.4871 0.2541 0.8211
0.4871 0.2459 0.6789
0.9871 0.8211 0.2541
0.2922 0.7021 0.9667
0.7922 0.5333 0.7979
0.7922 0.9667 0.7021
0.2922 0.7979 0.5333
0.7091 0.2968 0.0299
0.2091 0.4701 0.2032
0.2091 0.0299 0.2968
0.7091 0.2032 0.4701
0.1529 0.6852 0.7576
0.6529 0.7424 0.8148
0.6529 0.7576 0.6852
0.1529 0.8148 0.7424
0.8460 0.3148 0.2432
0.3460 0.2568 0.1852
0.3460 0.2432 0.3148
0.8460 0.1852 0.2568
0.2463 0.7698 0.0666
0.7463 0.4334 0.7302
0.7463 0.0666 0.7698
0.2463 0.7302 0.4334
0.7617 0.2298 0.9304
0.2617 0.5696 0.2702
0.2617 0.9304 0.2298
0.7617 0.2702 0.5696
0.1136 0.7208 0.9958
0.6136 0.5042 0.7792
0.6136 0.9958 0.7208
0.1136 0.7792 0.5042
0.8887 0.2803 0.0039
0.3887 0.4961 0.2197
0.3887 0.0039 0.2803
0.8887 0.2197 0.4961
0.0271 0.7551 0.8148
0.5271 0.6852 0.7449
0.5271 0.8148 0.7551
0.0271 0.7449 0.6852
0.9721 0.2454 0.1852
0.4721 0.3148 0.2546
0.4721 0.1852 0.2454
0.9721 0.2546 0.3148
0.9134 0.2569 0.6848
0.4134 0.8152 0.2431
0.4134 0.6848 0.2569
0.9134 0.2431 0.8152
0.1041 0.7442 0.3149
0.6041 0.1851 0.7558
0.6041 0.3149 0.7442
0.1041 0.7558 0.1851
0.2909 0.2599 0.6896
0.7909 0.8104 0.2401
0.7909 0.6896 0.2599
0.2909 0.2401 0.8104
0.9710 0.2500 0.7500
0.4710 0.7500 0.2500
0.0451 0.7500 0.2500
0.5451 0.2500 0.7500
0.2132 0.7525 0.9950
0.7132 0.5050 0.7475
0.7132 0.9950 0.7525
0.2132 0.7475 0.5050
0.7897 0.2476 0.0030
0.2897 0.4970 0.2524
0.2897 0.0030 0.2476
0.7897 0.2524 0.4970
0.0919 0.7500 0.7500
0.5919 0.7500 0.7500
0.9071 0.2500 0.2500
0.4071 0.2500 0.2500
0.4191 0.9261 0.7538
0.9191 0.7462 0.5739
0.9191 0.7538 0.9261
0.4191 0.5739 0.7462
0.5797 0.0751 0.2467
0.0797 0.2533 0.4249
0.0797 0.2467 0.0751
0.5797 0.4249 0.2533
0.0550 0.1014 0.5621
0.5550 0.9379 0.3986
0.5550 0.5621 0.1014
0.0550 0.3986 0.9379
0.9418 0.8962 0.4373
0.4418 0.0627 0.6038
0.4418 0.4373 0.8962
0.9418 0.6038 0.0627
0.9303 0.9405 0.6316
0.4303 0.8684 0.5595
0.4303 0.6316 0.9405
0.9303 0.5595 0.8684
0.0667 0.0565 0.3663
0.5667 0.1337 0.4435
0.5667 0.3663 0.0565
0.0667 0.4435 0.1337
0.0561 0.0589 0.7465
0.5561 0.7535 0.4411
0.5561 0.7465 0.0589
0.0561 0.4411 0.7535
0.9355 0.9351 0.2537
0.4355 0.2463 0.5649
0.4355 0.2537 0.9351
0.9355 0.5649 0.2463
0.2148 0.9453 0.8778
0.7148 0.6222 0.5547
0.7148 0.8778 0.9453
0.2148 0.5547 0.6222
0.7843 0.0560 0.1227
0.2843 0.3773 0.4440
0.2843 0.1227 0.0560
0.7843 0.4440 0.3773
0.4418 0.8818 0.9403
0.9418 0.5597 0.6182
0.9418 0.9403 0.8818
0.4418 0.6182 0.5597
0.5576 0.1211 0.0597
0.0576 0.4403 0.3789
0.0576 0.0597 0.1211
0.5576 0.3789 0.4403
0.2329 0.2500 0.7500
0.7329 0.7500 0.2500
0.1958 0.9454 0.6267
0.6958 0.8733 0.5546
0.6958 0.6267 0.9454
0.1958 0.5546 0.8733
0.8015 0.0533 0.3731
0.3015 0.1269 0.4467
0.3015 0.3731 0.0533
0.8015 0.4467 0.1269
0.4281 0.0682 0.8817
0.9281 0.6183 0.4318
0.9281 0.8817 0.0682
0.4281 0.4318 0.6183
0.5703 0.9340 0.1179
0.0703 0.3821 0.5660
0.0703 0.1179 0.9340
0.5703 0.5660 0.3821
```

crystal system = orthorhombic
space group = Ccc2 (37)
energy = -6.116 eV/atom
ΔH_f (0 K) = -1.766 eV per atom

---

Entry 2:
The following is a DFT calculation (PBE) of a geometry-optimized P structure.

```
P
1.0
2.8247 -4.9248 -3.7706
6.4548 2.0943 0.6323
0.6418 -3.4051 4.8994
P
8
Direct
0.8375 0.8375 0.7550
0.1625 0.1625 0.2450
0.7179 0.7179 0.4503
0.2821 0.2821 0.5497
0.5287 0.7723 0.7474
0.2277 0.4713 0.2526
0.4713 0.2277 0.2526
0.7723 0.5287 0.7474
```

crystal system = monoclinic
space group = C2/m (12)
energy above the most stable polymorph in this dataset = 0.139 eV/atom
energy = -5.274 eV/atom
ΔH_f (0 K) = 0.139 eV per atom

---

Entry 3:
The following is a DFT calculation (PBE) of a geometry-optimized Rb2Se5 structure.

```
Rb2Se5
1.0
-5.4209 2.4429 3.8157
-4.3813 -0.5727 -5.8578
-4.3885 -17.5446 4.9977
Rb Se
8 20
Direct
0.5868 0.2414 0.1622
0.6231 0.4135 0.5102
0.9132 0.7586 0.6622
0.8769 0.5865 0.0102
0.1231 0.0865 0.4898
0.3769 0.9135 0.9898
0.4132 0.7414 0.3378
0.0868 0.2586 0.8378
0.9050 0.0833 0.0190
0.4288 0.8641 0.6260
0.0364 0.8748 0.2019
0.9636 0.3748 0.2981
0.2581 0.3559 0.6524
0.0712 0.1359 0.1260
0.5598 0.7442 0.1604
0.5364 0.6252 0.7981
0.5712 0.3641 0.8740
0.0950 0.5833 0.4810
0.5950 0.9167 0.5190
0.0598 0.7558 0.8396
0.7581 0.1441 0.3476
0.9288 0.6359 0.3740
0.9402 0.2558 0.6604
0.4636 0.1252 0.7019
0.7419 0.8559 0.8476
0.4402 0.2442 0.3396
0.2419 0.6441 0.1524
0.4050 0.4167 0.9810
```

crystal system = orthorhombic
space group = P2_12_12_1 (19)
energy = -3.359 eV/atom
largest piezoelectric modulus = 0.11 C/m2
ΔH_f (0 K) = -0.919 eV per atom

---

Entry 4:
The following is a DFT calculation (PBE) of a geometry-optimized Tb11O20 structure.

```
Tb11O20
1.0
6.5960 0.0000 0.0000
-1.0264 6.5698 0.0000
-0.5163 -0.9287 10.2447
Tb O
11 20
Direct
0.0000 0.0000 0.0000
0.5856 0.2883 0.0846
0.4144 0.7117 0.9154
0.0878 0.5811 0.1836
0.9122 0.4189 0.8164
0.1873 0.0887 0.3837
0.8127 0.9113 0.6163
0.6473 0.8407 0.2626
0.3527 0.1593 0.7374
0.7249 0.3685 0.4385
0.2751 0.6315 0.5615
0.6603 0.9376 0.0468
0.3397 0.0624 0.9532
0.6786 0.2254 0.6507
0.3214 0.7746 0.3493
0.8380 0.0596 0.4258
0.1620 0.9404 0.5742
0.5937 0.4374 0.8864
0.4063 0.5626 0.1136
0.9271 0.3162 0.0399
0.0729 0.6838 0.9601
0.5902 0.6897 0.4653
0.4098 0.3103 0.5347
0.7568 0.5256 0.2462
0.2432 0.4744 0.7538
0.9901 0.0961 0.7943
0.0099 0.9039 0.2057
0.5048 0.8491 0.7240
0.4952 0.1509 0.2760
0.0933 0.4129 0.3786
0.9067 0.5871 0.6214
```

crystal system = triclinic
space group = P-1 (2)
energy above the most stable polymorph in this dataset = 0.012 eV/atom
energy = -7.838 eV/atom
ΔH_f (0 K) = -3.445 eV per atom

---

Entry 5:
The following is a DFT calculation (PBE) of a geometry-optimized Cs2LaCuCl6 structure.

```
Cs2LaCuCl6
1.0
0.0000 5.3801 5.3801
5.3801 0.0000 5.3801
5.3801 5.3801 0.0000
Cs La Cu Cl
2 1 1 6
Direct
0.7500 0.7500 0.7500
0.2500 0.2500 0.2500
0.0000 0.0000 0.0000
0.5000 0.5000 0.5000
0.7411 0.2589 0.2589
0.2589 0.2589 0.7411
0.2589 0.7411 0.7411
0.2589 0.7411 0.2589
0.7411 0.2589 0.7411
0.7411 0.7411 0.2589
```

crystal system = cubic
space group = Fm-3m (225)
energy = -4.007 eV/atom
ΔH_f (0 K) = -2.183 eV per atom

---

Entry 6:
The following is a DFT calculation (PBE) of a geometry-optimized Na3MgInP2SO12 structure.

```
Na3MgInP2SO12
1.0
9.0627 0.0000 0.0000
-4.5314 7.8119 -0.0040
0.0000 -0.0124 22.3154
Na Mg In P S O
18 6 6 12 6 72
Direct
0.3546 0.3529 0.2453
0.0026 0.6326 0.2451
0.6300 0.6326 0.7451
0.9984 0.3529 0.7453
0.0213 0.6863 0.5786
0.6693 0.9660 0.5784
0.2967 0.9660 0.0784
0.6650 0.6863 0.0786
0.6879 0.0196 0.9120
0.3359 0.2993 0.9117
0.9634 0.2993 0.4117
0.3317 0.0196 0.4120
0.9772 0.9835 0.4957
0.0063 0.9835 0.9957
0.6439 0.3169 0.8290
0.6730 0.3169 0.3290
0.3105 0.6502 0.1623
0.3397 0.6502 0.6623
0.9923 0.9956 0.3508
0.0032 0.9956 0.8508
0.6590 0.3289 0.6842
0.6699 0.3289 0.1842
0.3257 0.6622 0.0175
0.3366 0.6622 0.5175
0.0037 0.0105 0.6528
0.0068 0.0105 0.1528
0.6703 0.3438 0.9861
0.6735 0.3438 0.4861
0.3370 0.6772 0.3195
0.3402 0.6772 0.8195
0.3018 0.0030 0.2513
0.9999 0.3003 0.2548
0.3004 0.3003 0.7548
0.7012 0.0030 0.7513
0.9684 0.3363 0.5847
0.6665 0.6336 0.5882
0.9671 0.6336 0.0882
0.3679 0.3363 0.0847
0.6351 0.6697 0.9180
0.3332 0.9670 0.9215
0.6337 0.9670 0.4215
0.0346 0.6697 0.4180
0.7018 0.7015 0.2494
0.9997 0.7015 0.7494
0.3685 0.0349 0.5827
0.6664 0.0349 0.0827
0.0352 0.3682 0.9160
0.3331 0.3682 0.4160
0.2093 0.0228 0.3062
0.8128 0.7965 0.2998
0.9836 0.1972 0.3113
0.2136 0.1972 0.8113
0.9837 0.7965 0.7998
0.8135 0.0228 0.8062
0.7762 0.9664 0.6935
0.1893 0.2195 0.6980
0.0268 0.7956 0.6917
0.7688 0.7956 0.1917
0.0302 0.2195 0.1980
0.1901 0.9664 0.1935
0.8760 0.3562 0.6396
0.4795 0.1299 0.6332
0.6502 0.5305 0.6447
0.8803 0.5305 0.1447
0.6504 0.1299 0.1332
0.4802 0.3562 0.1396
0.4429 0.2997 0.0268
0.8560 0.5528 0.0314
0.6935 0.1289 0.0250
0.4354 0.1289 0.5250
0.6969 0.5528 0.5314
0.8568 0.2997 0.5268
0.5426 0.6895 0.9729
0.1461 0.4632 0.9665
0.3169 0.8638 0.9780
0.5469 0.8638 0.4780
0.3171 0.4632 0.4665
0.1469 0.6895 0.4729
0.1096 0.6330 0.3601
0.5226 0.8862 0.3647
0.3602 0.4623 0.3583
0.1021 0.4623 0.8583
0.3635 0.8862 0.8647
0.5235 0.6330 0.8601
0.0263 0.8357 0.4113
0.8165 0.9969 0.4147
0.1744 0.1972 0.4132
0.0228 0.1972 0.9132
0.1804 0.9969 0.9147
0.8095 0.8357 0.9113
0.9857 0.1731 0.5875
0.1908 0.0038 0.5884
0.8364 0.8152 0.5891
0.9788 0.8152 0.0891
0.8130 0.0038 0.0884
0.1875 0.1731 0.0875
0.6930 0.1691 0.7447
0.4832 0.3303 0.7480
0.8411 0.5305 0.7465
0.6894 0.5305 0.2465
0.8471 0.3303 0.2480
0.4761 0.1691 0.2447
0.6523 0.5065 0.9209
0.8575 0.3372 0.9217
0.5031 0.1485 0.9224
0.6454 0.1485 0.4224
0.4797 0.3372 0.4217
0.8541 0.5065 0.4209
0.3596 0.5024 0.0780
0.1498 0.6636 0.0814
0.5077 0.8638 0.0799
0.3561 0.8638 0.5799
0.5138 0.6636 0.5814
0.1428 0.5024 0.5780
0.3190 0.8398 0.2542
0.5241 0.6705 0.2551
0.1698 0.4819 0.2558
0.3121 0.4819 0.7558
0.1464 0.6705 0.7551
0.5208 0.8398 0.7542
```

energy = -6.215 eV/atom
ΔH_f (0 K) = -2.495 eV per atom